Record 1
This record from Materials Project describes a relaxed Tl9BiSe6 crystal. The functional is PBE.

The structure in CIF format:
```
data_Tl9BiSe6
_space_group_name_H-M_alt 'I 4/m'
_space_group_IT_number 87
_space_group_name_Hall '-I 4'
_cell_length_a 8.589
_cell_length_b 8.589
_cell_length_c 13.271
_cell_angle_alpha 90.00
_cell_angle_beta 90.00
_cell_angle_gamma 90.00
loop_
_atom_site_label
_atom_site_fract_x
_atom_site_fract_y
_atom_site_fract_z
Tl1 0.000 0.000 0.000
Tl2 0.146 0.653 0.347
Bi1 0.000 0.000 0.500
Se1 0.000 0.000 0.273
Se2 0.149 0.320 0.500
```

---

Record 2
This record from Materials Project describes a relaxed SmGa2Co crystal. The functional is PBE.

The structure in CIF format:
```
data_SmGa2Co
_space_group_name_H-M_alt 'C m m m'
_space_group_IT_number 65
_space_group_name_Hall '-C 2 2'
_cell_length_a 4.127
_cell_length_b 17.793
_cell_length_c 4.089
_cell_angle_alpha 90.00
_cell_angle_beta 90.00
_cell_angle_gamma 90.00
loop_
_atom_site_label
_atom_site_fract_x
_atom_site_fract_y
_atom_site_fract_z
Sm1 0.000 0.143 0.000
Ga1 0.000 0.000 0.500
Ga2 0.000 0.292 0.500
Ga3 0.000 0.500 0.000
Co1 0.000 0.427 0.500
```

---

Record 3
This record from Materials Project describes a relaxed Rb2PdC4N4O crystal. The functional is PBE.

The structure in CIF format:
```
data_Rb2PdC4N4O
_space_group_name_H-M_alt 'P n n a'
_space_group_IT_number 52
_cell_length_a 7.716
_cell_length_b 9.967
_cell_length_c 13.880
_cell_angle_alpha 90.00
_cell_angle_beta 90.00
_cell_angle_gamma 90.00
loop_
_space_group_symop_operation_xyz
'x,y,z'
'-x,-y,-z'
'-x+1/2,-y,z'
'x+1/2,y,-z'
'x,-y+1/2,-z+1/2'
'-x,y+1/2,z+1/2'
'-x+1/2,y+1/2,-z+1/2'
'x+1/2,-y+1/2,z+1/2'
loop_
_atom_site_label
_atom_site_fract_x
_atom_site_fract_y
_atom_site_fract_z
Rb1 0.192 0.250 0.250
Rb2 0.250 0.000 0.599
Pd1 0.000 0.000 0.000
C1 0.002 0.529 0.358
C2 0.031 0.197 0.020
N1 0.011 0.543 0.274
N2 0.049 0.188 0.465
O1 0.218 0.750 0.750
```

---

Record 4
This record from Materials Project describes a relaxed Ho3Sb4Pd8 crystal. The functional is PBE.

The structure in CIF format:
```
data_Ho3Sb4Pd8
_space_group_name_H-M_alt 'F m -3 m'
_space_group_IT_number 225
_space_group_name_Hall '-F 4 2 3'
_cell_length_a 13.245
_cell_length_b 13.245
_cell_length_c 13.245
_cell_angle_alpha 90.00
_cell_angle_beta 90.00
_cell_angle_gamma 90.00
loop_
_atom_site_label
_atom_site_fract_x
_atom_site_fract_y
_atom_site_fract_z
Ho1 0.000 0.000 0.224
Sb1 0.000 0.000 0.000
Sb2 0.000 0.000 0.500
Sb3 0.000 0.250 0.250
Pd1 0.119 0.119 0.381
Pd2 0.166 0.166 0.166
```

---

Number 1: formation energy -0.554 eV per atom. Number 2: formation energy -0.536 eV per atom. Number 3: formation energy 0.066 eV per atom. Number 4: formation energy -0.831 eV per atom.